Entry 1:
VASP calculation (PBE) on an optimized crystal structure of CsU2As2O18.

```
CsU2As2O18
1.0
-4.740 3.516 4.203
-10.833 -8.108 -5.434
-8.283 -19.410 6.896
As O Cs U
8 72 4 8
Direct
0.250 0.874 0.501
0.750 0.126 0.499
0.251 0.375 0.000
0.249 0.375 0.500
0.749 0.625 0.000
0.250 0.874 0.001
0.751 0.625 0.500
0.750 0.126 0.999
0.726 0.779 0.441
0.226 0.221 0.059
0.755 0.544 0.334
0.558 0.579 0.060
0.222 0.910 0.560
0.745 0.544 0.834
0.244 0.177 0.446
0.237 0.961 0.161
0.373 0.474 0.776
0.277 0.408 0.061
0.062 0.948 0.941
0.223 0.408 0.561
0.898 0.067 0.210
0.058 0.421 0.440
0.561 0.080 0.059
0.113 0.582 0.240
0.102 0.933 0.790
0.256 0.177 0.946
0.609 0.276 0.734
0.270 0.940 0.794
0.778 0.090 0.440
0.559 0.554 0.559
0.442 0.421 0.940
0.222 0.720 0.060
0.939 0.080 0.559
0.770 0.060 0.706
0.263 0.961 0.661
0.748 0.325 0.550
0.445 0.706 0.222
0.942 0.579 0.560
0.602 0.067 0.710
0.127 0.474 0.276
0.945 0.294 0.278
0.438 0.948 0.441
0.439 0.920 0.941
0.938 0.052 0.059
0.756 0.823 0.554
0.723 0.592 0.939
0.730 0.060 0.206
0.055 0.706 0.722
0.255 0.456 0.166
0.627 0.526 0.224
0.774 0.779 0.941
0.722 0.090 0.940
0.245 0.456 0.666
0.778 0.280 0.940
0.737 0.039 0.339
0.278 0.720 0.560
0.744 0.823 0.054
0.555 0.294 0.778
0.278 0.910 0.060
0.248 0.675 0.950
0.613 0.418 0.260
0.873 0.526 0.724
0.059 0.446 0.941
0.763 0.039 0.839
0.274 0.221 0.559
0.391 0.724 0.266
0.109 0.724 0.766
0.777 0.592 0.439
0.891 0.276 0.234
0.252 0.675 0.450
0.941 0.554 0.059
0.887 0.418 0.760
0.722 0.280 0.440
0.562 0.052 0.559
0.387 0.582 0.740
0.398 0.933 0.290
0.752 0.325 0.050
0.061 0.920 0.441
0.441 0.446 0.441
0.230 0.940 0.294
0.621 0.803 0.749
0.121 0.197 0.751
0.379 0.197 0.251
0.879 0.803 0.249
0.251 0.568 0.557
0.749 0.928 0.947
0.249 0.072 0.553
0.749 0.432 0.443
0.249 0.568 0.057
0.751 0.928 0.447
0.751 0.432 0.943
0.251 0.072 0.053
```

Summary:
formation energy = -1.6322 eV per atom
total magnetization = 2.9 μB/cell



Entry 2:
VASP calculation (PBE) on an optimized crystal structure of Cs2UAs2O9.

```
Cs2UAs2O9
1.0
-2.676 -4.101 -4.246
6.048 -10.112 5.956
-10.589 -1.532 8.153
O Cs As U
36 8 8 4
Direct
0.260 0.200 0.264
0.103 0.680 0.899
0.728 0.619 0.000
0.260 0.800 0.264
0.266 0.000 0.117
0.272 0.881 0.500
0.103 0.320 0.101
0.890 0.895 0.828
0.112 0.500 0.500
0.110 0.395 0.328
0.260 0.200 0.736
0.895 0.000 0.500
0.103 0.680 0.101
0.897 0.820 0.399
0.728 0.381 0.000
0.110 0.605 0.672
0.897 0.180 0.601
0.888 0.000 0.000
0.890 0.895 0.172
0.260 0.800 0.736
0.734 0.500 0.383
0.740 0.300 0.236
0.897 0.820 0.601
0.740 0.700 0.764
0.740 0.700 0.236
0.266 0.000 0.883
0.734 0.500 0.617
0.272 0.119 0.500
0.103 0.320 0.899
0.105 0.500 0.000
0.890 0.105 0.828
0.890 0.105 0.172
0.110 0.605 0.328
0.110 0.395 0.672
0.740 0.300 0.764
0.897 0.180 0.399
0.491 0.823 0.000
0.511 0.000 0.324
0.489 0.500 0.824
0.509 0.323 0.500
0.489 0.500 0.176
0.511 0.000 0.676
0.509 0.677 0.500
0.491 0.177 0.000
0.985 0.624 0.000
0.015 0.124 0.500
0.009 0.000 0.121
0.015 0.876 0.500
0.991 0.500 0.621
0.991 0.500 0.379
0.009 0.000 0.879
0.985 0.376 0.000
0.000 0.250 0.750
0.000 0.750 0.750
0.000 0.750 0.250
0.000 0.250 0.250
```

Summary:
formation energy = -2.4711 eV per atom
total magnetization = 0.0 μB/cell



Entry 3:
VASP calculation (PBE) on an optimized crystal structure of Cs6U5As4O28.

```
Cs6U5As4O28
1.0
8.070 0.000 0.000
0.540 9.452 0.000
3.355 2.801 11.272
O U Cs As
28 5 6 4
Direct
0.534 0.427 0.876
0.272 0.614 0.767
0.230 0.919 0.923
0.513 0.435 0.633
0.811 0.646 0.975
0.745 0.635 0.676
0.537 0.119 0.313
0.255 0.365 0.324
0.770 0.081 0.077
0.519 0.724 0.884
0.522 0.742 0.510
0.660 0.835 0.271
0.478 0.258 0.490
0.340 0.165 0.729
0.481 0.276 0.116
0.728 0.386 0.233
0.734 0.016 0.481
0.326 0.950 0.235
0.434 0.131 0.976
0.189 0.354 0.025
0.566 0.869 0.024
0.487 0.565 0.367
0.173 0.394 0.610
0.827 0.606 0.390
0.466 0.573 0.124
0.266 0.984 0.519
0.463 0.881 0.687
0.674 0.050 0.765
0.491 0.374 0.278
0.509 0.626 0.722
0.548 0.017 0.157
0.500 0.000 0.500
0.452 0.983 0.843
0.126 0.701 0.468
0.064 0.627 0.124
0.010 0.879 0.767
0.874 0.299 0.532
0.936 0.373 0.876
0.990 0.121 0.233
0.633 0.677 0.385
0.367 0.323 0.615
0.602 0.690 0.008
0.398 0.310 0.992
```

Summary:
formation energy = -2.8004 eV per atom
total magnetization = 0.0 μB/cell



Number 1: electronic total energy -156.50 eV per formula unit. Number 2: electronic total energy -95.34 eV per formula unit. Number 3: electronic total energy -320.19 eV per formula unit.